Density functional theory data (PBE with a Hubbard U) for a relaxed structure of BaCaV2O7.

Unit cell a=15.7135 b=5.8719 c=7.6150 alpha=90.00 beta=90.00 gamma=90.00
Positions (direct):
Ba 0.2147 0.2500 0.1371
Ba 0.2853 0.7500 0.6371
Ba 0.7147 0.2500 0.3629
Ba 0.7853 0.7500 0.8629
Ca 0.0533 0.7500 0.8871
Ca 0.4467 0.2500 0.3871
Ca 0.5533 0.7500 0.6129
Ca 0.9467 0.2500 0.1129
V 0.0606 0.7500 0.3004
V 0.1421 0.2500 0.6618
V 0.3579 0.7500 0.1618
V 0.4394 0.2500 0.8004
V 0.5606 0.7500 0.1996
V 0.6421 0.2500 0.8382
V 0.8579 0.7500 0.3382
V 0.9394 0.2500 0.6996
O 0.0348 0.2500 0.5634
O 0.0597 0.5185 0.1557
O 0.0597 0.9815 0.1557
O 0.1502 0.7500 0.4194
O 0.1536 0.0139 0.7952
O 0.1536 0.4861 0.7952
O 0.2210 0.2500 0.5109
O 0.2790 0.7500 0.0109
O 0.3464 0.5139 0.2952
O 0.3464 0.9861 0.2952
O 0.3498 0.2500 0.9194
O 0.4403 0.0185 0.6557
O 0.4403 0.4815 0.6557
O 0.4652 0.7500 0.0634
O 0.5348 0.2500 0.9366
O 0.5597 0.5185 0.3443
O 0.5597 0.9815 0.3443
O 0.6502 0.7500 0.0806
O 0.6536 0.0139 0.7048
O 0.6536 0.4861 0.7048
O 0.7210 0.2500 0.9891
O 0.7790 0.7500 0.4891
O 0.8464 0.5139 0.2048
O 0.8464 0.9861 0.2048
O 0.8498 0.2500 0.5806
O 0.9403 0.0185 0.8443
O 0.9403 0.4815 0.8443
O 0.9652 0.7500 0.4366

## Properties
DFT total energy: -7.3260 eV per atom
Theoretical density: 3.7 Mg/m³
Symmetry: Pnma
V: 702.6 Å³ per cell